Record 1
An optimized crystal structure of PrVO3, computed with PBE with a Hubbard U.

## Properties
- raw total energy (eV for the cell shown) = -163.90
- theoretical density (g/cm³) = 6.387
- ΔE_f (eV per atom) = -3.2055

Lattice parameters (Å, degrees): 5.734 7.883 5.517 90.00 90.00 90.00
Space group Pnma (No. 62)
One atom of each set of equivalent atoms:
1 Pr 0.058 0.250 0.016 [4 per cell]
2 V 0.000 0.000 0.500 [4 per cell]
3 O 0.024 0.750 0.407 [4 per cell]
4 O 0.208 0.548 0.801 [8 per cell]

---

Record 2
An optimized crystal structure of Li4Ti4Mn4FeO18, computed with PBE with a Hubbard U.

## Properties
- raw total energy (eV for the cell shown) = -463.27
- theoretical density (g/cm³) = 3.793
- ΔE_f (eV per atom) = -2.5656

Lattice parameters (Å, degrees): 9.189 25.174 2.963 90.00 90.00 90.00
Space group Pbam (No. 55)
One atom of each set of equivalent atoms:
1 Li 0.189 0.002 0.000 [4 per cell]
2 Li 0.206 0.805 0.000 [4 per cell]
3 Ti 0.005 0.896 0.000 [4 per cell]
4 Ti 0.145 0.195 0.500 [4 per cell]
5 Mn 0.018 0.685 0.000 [4 per cell]
6 Mn 0.143 0.413 0.500 [4 per cell]
7 Fe 0.000 0.500 0.000 [2 per cell]
8 O 0.003 0.420 0.000 [4 per cell]
9 O 0.039 0.059 0.500 [4 per cell]
10 O 0.051 0.838 0.500 [4 per cell]
11 O 0.113 0.243 0.000 [4 per cell]
12 O 0.116 0.337 0.500 [4 per cell]
13 O 0.143 0.708 0.500 [4 per cell]
14 O 0.154 0.491 0.500 [4 per cell]
15 O 0.177 0.143 0.000 [4 per cell]
16 O 0.212 0.911 0.000 [4 per cell]

---

Record 3
An optimized crystal structure of Sr3MgFe2Br2O5, computed with PBE with a Hubbard U.

## Properties
- raw total energy (eV for the cell shown) = -140.32
- theoretical density (g/cm³) = 4.176
- ΔE_f (eV per atom) = -2.0372

Lattice parameters (Å, degrees): 5.737 5.725 15.713 90.00 100.25 90.00
Space group Cm (No. 8)
One atom of each set of equivalent atoms:
1 Sr 0.000 0.000 0.000 [2 per cell]
2 Sr 0.115 0.000 0.232 [2 per cell]
3 Sr 0.238 0.000 0.478 [2 per cell]
4 Mg 0.383 0.500 0.769 [2 per cell]
5 Fe 0.050 0.500 0.103 [2 per cell]
6 Fe 0.182 0.500 0.363 [2 per cell]
7 Br 0.297 0.500 0.598 [2 per cell]
8 Br 0.403 0.000 0.813 [2 per cell]
9 O 0.123 0.500 0.241 [2 per cell]
10 O 0.293 0.249 0.086 [4 per cell]
11 O 0.445 0.250 0.389 [4 per cell]

---

Record 4
An optimized crystal structure of Li7CoO4F2, computed with PBE with a Hubbard U.

## Properties
- raw total energy (eV for the cell shown) = -139.13
- theoretical density (g/cm³) = 2.543
- ΔE_f (eV per atom) = -2.1989

Lattice parameters (Å, degrees): 5.347 5.717 10.245 74.52 86.07 65.22
Space group P1 (No. 1)
One atom of each set of equivalent atoms:
1 Li 0.000 0.000 0.000 [1 per cell]
2 Li 0.000 0.416 0.785 [1 per cell]
3 Li 0.016 0.340 0.464 [1 per cell]
4 Li 0.433 0.450 0.954 [1 per cell]
5 Li 0.443 0.048 0.165 [1 per cell]
6 Li 0.495 0.063 0.468 [1 per cell]
7 Li 0.503 0.322 0.619 [1 per cell]
8 Li 0.514 0.403 0.253 [1 per cell]
9 Li 0.519 0.011 0.844 [1 per cell]
10 Li 0.538 0.680 0.400 [1 per cell]
11 Li 0.951 0.383 0.110 [1 per cell]
12 Li 0.965 0.736 0.550 [1 per cell]
13 Li 0.970 0.046 0.679 [1 per cell]
14 Li 0.996 0.067 0.336 [1 per cell]
15 Co 0.481 0.716 0.670 [1 per cell]
16 Co 0.981 0.711 0.230 [1 per cell]
17 O 0.141 0.950 0.181 [1 per cell]
18 O 0.204 0.944 0.517 [1 per cell]
19 O 0.230 0.493 0.126 [1 per cell]
20 O 0.322 0.498 0.758 [1 per cell]
21 O 0.659 0.942 0.666 [1 per cell]
22 O 0.712 0.941 0.329 [1 per cell]
23 O 0.796 0.457 0.604 [1 per cell]
24 O 0.821 0.465 0.287 [1 per cell]
25 F 0.166 0.019 0.834 [1 per cell]
26 F 0.340 0.429 0.445 [1 per cell]
27 F 0.622 0.044 0.001 [1 per cell]
28 F 0.798 0.444 0.941 [1 per cell]